# 1
Material: IrBr6N2
Method: DFT, PBE
State: relaxed

Symmetry: Fm-3m
Calculated formation energy in eV/atom: 1.044
Total energy after the MP2020 corrections in eV per atom: -2.88

Cell and atoms, written as extended XYZ:
```
9
Lattice="0.834 -7.152 -1.045 -2.438 -4.713 4.978 -5.787 -4.163 -1.458" Properties=species:S:1:pos:R:3 pbc="T T T"
N -1.848 -4.007 0.619
N -5.543 -12.021 1.857
Br -2.605 -10.022 2.643
Br -1.333 -7.565 0.047
Br -6.057 -8.464 2.428
Br -4.786 -6.006 -0.168
Br -4.351 -9.735 -0.713
Br -3.040 -6.293 3.188
Ir 0.000 0.000 0.000
```

---

# 2
Material: Rb3IrBr6O
Method: DFT, PBE
State: relaxed

Symmetry: Pnma
Calculated formation energy in eV/atom: -0.883
Total energy after the MP2020 corrections in eV per atom: -3.30

Cell and atoms, written as extended XYZ:
```
44
Lattice="-4.026 -5.557 2.842 5.087 -8.148 -8.726 11.435 -3.299 9.746" Properties=species:S:1:pos:R:3 pbc="T T T"
Br 11.721 -7.480 6.828
Br 2.736 -3.711 1.471
Br -0.702 -4.081 0.448
Br 8.507 -6.914 -1.187
Br 3.705 -3.819 -1.928
Br 9.647 -10.222 -1.470
Br 1.813 -6.430 -0.592
Br 8.470 -8.534 -4.397
Br 6.578 -11.145 -3.062
Br 8.791 -13.184 5.791
Br 0.776 -9.523 -2.965
Br 7.092 -9.182 6.648
Br 3.989 -10.089 5.050
Br 1.193 -1.464 -0.890
Br 5.404 -7.821 -2.785
Br 4.026 -8.470 8.260
Br 5.885 -7.473 3.712
Br 5.918 -5.858 6.925
Br 6.611 -9.531 0.151
Br 2.849 -6.781 5.333
Br 11.303 -15.539 4.753
Br 9.760 -13.292 2.392
Br 13.198 -12.922 3.415
Br 10.683 -10.573 4.455
Ir 4.955 -7.978 5.976
Ir 11.002 -13.063 4.600
Ir 1.494 -3.941 -0.737
Ir 7.541 -9.025 -2.113
O 9.345 -8.127 2.198
O 3.531 -12.326 -4.542
O 8.965 -4.677 8.405
O 3.151 -8.876 1.665
Rb 9.992 -10.522 8.136
Rb 0.443 -6.315 2.837
Rb 7.047 -7.462 9.950
Rb 5.292 -6.157 0.311
Rb 7.627 -13.180 -0.411
Rb 3.529 -10.546 -1.064
Rb 5.449 -9.542 -6.087
Rb 12.053 -10.688 1.026
Rb 7.204 -10.847 3.552
Rb 8.967 -6.458 4.927
Rb 4.869 -3.823 4.274
Rb 2.504 -6.481 -4.273
```